Si2Ag2O5 | the Materials Project database | PBE | relaxed; SG = Pbcn (60); calculated formation energy = -214.9 kJ/mol of atoms
1.0
-2.8966 1.6302 -3.7724
-5.4530 -1.4657 3.5537
0.1249 14.6055 6.2155
O Si Ag
20 8 8
Direct
0.2435 0.0000 0.7500
0.8922 0.6874 0.3437
0.7435 0.5000 0.7500
0.2565 0.5000 0.2500
0.2591 0.5367 0.0810
0.2591 0.4633 0.4190
0.3922 0.1874 0.1563
0.7409 0.5367 0.5810
0.2409 0.9633 0.5810
0.2409 0.0367 0.9190
0.1078 0.6874 0.8437
0.3922 0.8126 0.3437
0.7591 0.0367 0.4190
0.7409 0.4633 0.9190
0.6078 0.8126 0.8437
0.6078 0.1874 0.6563
0.7591 0.9633 0.0810
0.1078 0.3126 0.6563
0.7565 0.0000 0.2500
0.8922 0.3126 0.1563
0.7953 0.6100 0.8398
0.2953 0.8900 0.8398
0.7047 0.1100 0.1602
0.7953 0.3900 0.6602
0.7047 0.8900 0.3398
0.2047 0.3900 0.1602
0.2047 0.6100 0.3398
0.2953 0.1100 0.6602
0.2665 0.6182 0.5541
0.2335 0.8818 0.0541
0.7335 0.6182 0.0541
0.2665 0.3818 0.9459
0.7335 0.3818 0.4459
0.7665 0.8818 0.5541
0.7665 0.1182 0.9459
0.2335 0.1182 0.4459


PmZn2Au | the Materials Project database | PBE | relaxed; SG = Fm-3m (225); calculated formation energy = -44.3 kJ/mol of atoms
1.0
-2.0872 -3.3068 -2.7559
-3.3030 -2.9216 1.8549
-4.5924 0.4808 -1.2511
Au Pm Zn
1 1 2
Direct
0.5000 0.5000 0.5000
0.0000 0.0000 0.0000
0.7500 0.7500 0.7500
0.2500 0.2500 0.2500


MgAl4H12O12 | the Materials Project database | PBE | relaxed; SG = P1 (1); calculated formation energy = -187.9 kJ/mol of atoms
1.0
-4.2022 2.3608 4.4988
5.0080 -2.1789 5.5991
4.2458 2.6211 -6.0975
H Al Mg O
12 4 1 12
Direct
0.6593 0.8536 0.7028
0.5133 0.8807 0.0092
0.8098 0.6088 0.8365
0.8040 0.3072 0.5548
0.1907 0.6639 0.4721
0.9868 0.9705 0.2635
0.3648 0.4301 0.0198
0.0237 0.9426 0.5480
0.1781 0.4160 0.1339
0.3175 0.3468 0.8984
0.2892 0.1007 0.2771
0.6158 0.5158 0.9284
0.5942 0.1684 0.7800
0.9304 0.6575 0.6123
0.0389 0.3281 0.4109
0.4425 0.8216 0.2714
0.3199 0.1659 0.0261
0.5053 0.9113 0.5799
0.5148 0.4136 0.7489
0.0337 0.2725 0.0252
0.0261 0.5707 0.4156
0.9536 0.9190 0.6159
0.9608 0.7203 0.8985
0.4096 0.7703 0.9877
0.8665 0.3899 0.5171
0.4844 0.6029 0.3040
0.6363 0.1644 0.0294
0.4554 0.0739 0.3067
0.1282 0.0960 0.4379


Question: Look up the calculated formation energy of the second one.
Answer: -44.3 kJ/mol of atoms


Question: What is the calculated formation energy in the second record?
Answer: -44.3 kJ/mol of atoms